# Ta4Cu2O11, relaxed, DFT PBE-GGA
# Calculated total energy   -8.850 eV/atom
# DFT formation energy   -2.821 eV/atom
# ρ   7936 kg/m³
data_Ta4Cu2O11
_chemical_formula_sum 'Ta8 Cu4 O22'
_cell_length_a 6.267
_cell_length_b 6.267
_cell_length_c 13.080
_cell_angle_alpha 76.40
_cell_angle_beta 76.40
_cell_angle_gamma 60.37
_symmetry_space_group_name_H-M 'P 1'
_symmetry_Int_Tables_number 1
loop_
_symmetry_equiv_pos_as_xyz
'x,y,z'
loop_
_atom_site_label
_atom_site_type_symbol
_atom_site_fract_x
_atom_site_fract_y
_atom_site_fract_z
Ta1 Ta 0.000 0.500 0.000
Ta2 Ta 0.754 0.882 0.753
Ta3 Ta 0.118 0.246 0.747
Ta4 Ta 0.395 0.605 0.750
Ta5 Ta 0.500 0.000 0.500
Ta6 Ta 0.605 0.395 0.250
Ta7 Ta 0.882 0.754 0.253
Ta8 Ta 0.246 0.118 0.247
Cu1 Cu 0.000 0.000 0.000
Cu2 Cu 0.500 0.500 0.000
Cu3 Cu 0.000 0.000 0.500
Cu4 Cu 0.500 0.500 0.500
O1 O 0.099 0.588 0.723
O2 O 0.495 0.755 0.248
O3 O 0.002 0.998 0.250
O4 O 0.774 0.758 0.902
O5 O 0.068 0.247 0.909
O6 O 0.284 0.555 0.908
O7 O 0.505 0.245 0.752
O8 O 0.412 0.901 0.777
O9 O 0.755 0.495 0.748
O10 O 0.998 0.002 0.750
O11 O 0.753 0.932 0.591
O12 O 0.242 0.226 0.598
O13 O 0.445 0.716 0.592
O14 O 0.555 0.284 0.408
O15 O 0.758 0.774 0.402
O16 O 0.247 0.068 0.409
O17 O 0.245 0.505 0.252
O18 O 0.588 0.099 0.223
O19 O 0.716 0.445 0.092
O20 O 0.932 0.753 0.091
O21 O 0.226 0.242 0.098
O22 O 0.901 0.412 0.277